20
Lattice="4.9885 -8.6403 0.0000 4.9885 8.6403 0.0000 0.0000 0.0000 6.1765" Properties=species:S:1:pos:R:3 comment="Ce7Pt3 PBE relaxed" ef_ev_per_atom=-0.636 pbc="T T T"
Ce 1.9368 1.1182 1.5678
Ce 1.9368 -1.1182 4.6561
Ce 6.9304 4.0012 3.3091
Ce 4.9885 -2.8801 3.5087
Ce 4.9885 -6.4039 4.6561
Ce 3.0466 -4.0012 0.2208
Ce 3.0466 4.0012 3.3091
Ce 6.9304 -4.0012 0.2208
Ce 4.9885 6.4039 1.5678
Ce 8.0402 1.1182 1.5678
Ce 4.9885 2.8801 0.4204
Ce 8.0402 -1.1182 4.6561
Ce 4.9885 0.6378 3.3091
Ce 4.9885 -0.6378 0.2208
Pt 7.1592 -1.6269 1.8650
Pt 2.8178 -1.6269 1.8650
Pt 4.9885 -5.3866 1.8650
Pt 4.9885 5.3866 4.9533
Pt 7.1592 1.6269 4.9533
Pt 2.8178 1.6269 4.9533



14
Lattice="-5.0718 5.8645 2.2027 -3.5335 -6.3538 -3.4801 5.5629 -1.8694 5.5251" Properties=species:S:1:pos:R:3 comment="Ce3Pt4 PBE relaxed" ef_ev_per_atom=-1.087 pbc="T T T"
Ce -2.4652 -4.0358 1.8927
Ce -0.5771 1.6772 2.3550
Ce 1.1203 -2.3907 1.3119
Ce -0.3319 -1.3920 4.8887
Ce -2.7105 -0.9666 -0.6410
Ce -4.1627 0.0321 2.9358
Pt -1.5212 -1.1793 2.1239
Pt -3.2562 1.7061 0.7677
Pt -2.0323 1.2154 4.8033
Pt -1.0100 -3.5741 -0.5555
Pt 1.7268 -0.1008 3.3333
Pt 0.0000 0.0000 0.0000
Pt -4.7691 -2.2579 0.9144
Pt 0.2138 -4.0648 3.4800



10
Lattice="3.0965 6.9638 -1.5669 7.7298 0.8668 -0.1898 3.6132 1.2137 -6.7830" Properties=species:S:1:pos:R:3 comment="Ce4Pt PBE relaxed" ef_ev_per_atom=0.087 pbc="T T T"
Ce 5.3986 1.6557 -1.2905
Ce 3.6113 1.8064 -4.1529
Ce 2.0426 1.2794 -1.2080
Ce 7.2183 4.9769 -2.2519
Ce 3.3870 4.3028 -1.8883
Ce 5.4310 5.1275 -5.1144
Ce 8.7870 5.5038 -5.1968
Ce 7.4426 2.4804 -4.5165
Pt 0.0000 0.0000 0.0000
Pt 10.8296 6.7832 -6.4048